Entry 1:
Li3V24O58 | PBE+U | optimized geometry

a = 7.351 Å, b = 10.331 Å, c = 14.487 Å
α = 77.32°, β = 82.76°, γ = 89.98°
Sites, in units of the cell vectors:
Li  0.000  0.000  0.000
Li  0.143  0.866  0.461
Li  0.618  0.176  0.495
V  0.043  0.498  0.833
V  0.058  0.184  0.769
V  0.102  0.438  0.598
V  0.164  0.610  0.348
V  0.203  0.862  0.182
V  0.221  0.546  0.120
V  0.284  0.733  0.869
V  0.329  0.988  0.695
V  0.336  0.666  0.647
V  0.426  0.378  0.309
V  0.434  0.056  0.259
V  0.479  0.310  0.088
V  0.541  0.495  0.832
V  0.558  0.180  0.774
V  0.600  0.443  0.601
V  0.662  0.606  0.352
V  0.707  0.863  0.183
V  0.719  0.545  0.123
V  0.783  0.734  0.870
V  0.826  0.988  0.695
V  0.842  0.664  0.650
V  0.922  0.381  0.305
V  0.938  0.059  0.259
V  0.980  0.310  0.082
O  0.016  0.402  0.946
O  0.030  0.132  0.884
O  0.044  0.677  0.864
O  0.061  0.360  0.755
O  0.071  0.012  0.720
O  0.072  0.613  0.684
O  0.101  0.280  0.597
O  0.131  0.518  0.479
O  0.161  0.769  0.357
O  0.174  0.428  0.279
O  0.194  0.035  0.227
O  0.200  0.684  0.199
O  0.213  0.912  0.067
O  0.237  0.365  0.090
O  0.250  0.642  0.008
O  0.273  0.883  0.884
O  0.309  0.541  0.806
O  0.317  0.158  0.740
O  0.320  0.806  0.726
O  0.330  0.765  0.542
O  0.348  0.482  0.619
O  0.373  0.028  0.580
O  0.395  0.016  0.374
O  0.424  0.559  0.338
O  0.430  0.277  0.413
O  0.442  0.239  0.228
O  0.450  0.889  0.209
O  0.470  0.504  0.149
O  0.484  0.161  0.070
O  0.512  0.403  0.944
O  0.526  0.679  0.864
O  0.529  0.133  0.888
O  0.564  0.365  0.758
O  0.569  0.008  0.729
O  0.591  0.621  0.669
O  0.603  0.284  0.597
O  0.632  0.523  0.479
O  0.661  0.762  0.355
O  0.690  0.426  0.273
O  0.693  0.033  0.231
O  0.704  0.681  0.197
O  0.719  0.366  0.089
O  0.746  0.640  0.012
O  0.753  0.913  0.068
O  0.787  0.546  0.814
O  0.791  0.889  0.880
O  0.815  0.158  0.740
O  0.820  0.803  0.722
O  0.840  0.028  0.580
O  0.846  0.484  0.620
O  0.877  0.283  0.410
O  0.892  0.759  0.544
O  0.909  0.558  0.337
O  0.919  0.018  0.374
O  0.944  0.241  0.231
O  0.945  0.886  0.216
O  0.959  0.498  0.140
O  0.981  0.152  0.075

density: 3.4 g/cm3
total moment: 0.08 μB/atom
SG: P1
E_form: -2.340 eV per atom

Entry 2:
Li2VO2 | PBE+U | optimized geometry

a = 3.230 Å, b = 3.230 Å, c = 5.193 Å
α = 90.00°, β = 90.00°, γ = 120.00°
Sites, in units of the cell vectors:
Li  0.333  0.667  0.135
Li  0.667  0.333  0.865
V  0.000  0.000  0.500
O  0.333  0.667  0.740
O  0.667  0.333  0.260

density: 3.4 g/cm3
total moment: 0.60 μB/atom
SG: P-3m1
E_form: -2.052 eV per atom

Entry 3:
Li3V6O13 | PBE+U | optimized geometry

a = 6.310 Å, b = 8.005 Å, c = 10.376 Å
α = 90.00°, β = 100.01°, γ = 108.49°
Sites, in units of the cell vectors:
Li  0.011  0.253  0.031
Li  0.137  0.784  0.410
Li  0.138  0.284  0.413
Li  0.862  0.716  0.587
Li  0.863  0.216  0.590
Li  0.989  0.747  0.969
V  0.196  0.049  0.636
V  0.196  0.549  0.635
V  0.317  0.078  0.999
V  0.317  0.579  0.997
V  0.439  0.110  0.363
V  0.439  0.610  0.362
V  0.561  0.390  0.638
V  0.561  0.890  0.637
V  0.683  0.421  0.003
V  0.683  0.922  0.001
V  0.804  0.451  0.365
V  0.804  0.951  0.364
O  0.000  0.000  0.000
O  0.000  0.500  0.000
O  0.138  0.035  0.416
O  0.138  0.534  0.416
O  0.221  0.305  0.609
O  0.221  0.805  0.608
O  0.239  0.561  0.802
O  0.241  0.059  0.802
O  0.350  0.838  0.998
O  0.354  0.337  0.002
O  0.367  0.093  0.199
O  0.367  0.590  0.197
O  0.482  0.870  0.403
O  0.483  0.371  0.403
O  0.517  0.629  0.597
O  0.518  0.130  0.597
O  0.633  0.410  0.803
O  0.633  0.907  0.801
O  0.646  0.663  0.998
O  0.650  0.162  0.002
O  0.759  0.941  0.198
O  0.761  0.439  0.198
O  0.779  0.195  0.392
O  0.779  0.695  0.391
O  0.862  0.466  0.584
O  0.862  0.965  0.584

energy relative to the lowest polymorph listed for this composition: 0.0053 eV per atom
density: 3.6 g/cm3
total moment: 0.32 μB/atom
SG: P-1
E_form: -2.415 eV per atom

Entry 4:
LiV6O15 | PBE+U | optimized geometry

a = 8.157 Å, b = 8.157 Å, c = 10.310 Å
α = 109.31°, β = 109.31°, γ = 25.95°
Sites, in units of the cell vectors:
Li  0.000  0.000  0.000
V  0.228  0.228  0.222
V  0.271  0.271  0.913
V  0.442  0.442  0.211
V  0.677  0.677  0.433
V  0.839  0.839  0.724
V  0.905  0.905  0.434
O  0.001  0.001  0.552
O  0.128  0.128  0.106
O  0.165  0.165  0.857
O  0.200  0.200  0.394
O  0.299  0.299  0.105
O  0.311  0.311  0.747
O  0.379  0.379  0.382
O  0.455  0.455  0.055
O  0.565  0.565  0.333
O  0.679  0.679  0.594
O  0.746  0.746  0.269
O  0.803  0.803  0.898
O  0.827  0.827  0.544
O  0.930  0.930  0.263
O  0.947  0.947  0.798

energy relative to the lowest polymorph listed for this composition: 0.0097 eV per atom
density: 3.3 g/cm3
total moment: 0.05 μB/atom
SG: Cm
E_form: -2.318 eV per atom

Entry 5:
Li5V4O8 | PBE+U | optimized geometry

a = 6.043 Å, b = 6.043 Å, c = 6.043 Å
α = 60.38°, β = 60.38°, γ = 60.38°
Sites, in units of the cell vectors:
Li  0.000  0.000  0.000
Li  0.143  0.143  0.143
Li  0.144  0.144  0.558
Li  0.144  0.558  0.144
Li  0.558  0.144  0.144
V  0.124  0.623  0.623
V  0.623  0.124  0.623
V  0.623  0.623  0.124
V  0.625  0.625  0.625
O  0.375  0.375  0.855
O  0.375  0.855  0.375
O  0.376  0.376  0.376
O  0.392  0.875  0.875
O  0.855  0.375  0.375
O  0.872  0.872  0.872
O  0.875  0.392  0.875
O  0.875  0.875  0.392

energy relative to the lowest polymorph listed for this composition: 0.0000 eV per atom
density: 3.9 g/cm3
total moment: 0.53 μB/atom
SG: R3m
E_form: -2.340 eV per atom

Entry 6:
Li3VO4 | PBE+U | optimized geometry

a = 6.398 Å, b = 5.514 Å, c = 5.039 Å
α = 90.00°, β = 90.00°, γ = 90.00°
Sites, in units of the cell vectors:
Li  0.000  0.166  0.000
Li  0.248  0.332  0.499
Li  0.252  0.668  0.999
Li  0.500  0.834  0.500
Li  0.748  0.668  0.999
Li  0.752  0.332  0.499
V  0.000  0.830  0.492
V  0.500  0.170  0.992
O  0.000  0.131  0.600
O  0.000  0.827  0.146
O  0.225  0.680  0.602
O  0.275  0.320  0.102
O  0.500  0.173  0.646
O  0.500  0.869  0.100
O  0.725  0.320  0.102
O  0.775  0.680  0.602

density: 2.5 g/cm3
piezoelectric modulus e_max: 1.46 C/m2
SG: Pmn2_1
E_form: -2.503 eV per atom

Entry 7:
Li3V6O13 | PBE+U | optimized geometry

a = 6.229 Å, b = 6.229 Å, c = 10.251 Å
α = 100.15°, β = 100.15°, γ = 36.88°
Sites, in units of the cell vectors:
Li  0.000  0.000  0.000
Li  0.068  0.068  0.409
Li  0.932  0.932  0.591
V  0.280  0.280  0.640
V  0.343  0.343  0.002
V  0.401  0.401  0.362
V  0.599  0.599  0.638
V  0.657  0.657  0.998
V  0.720  0.720  0.360
O  0.109  0.109  0.608
O  0.174  0.174  0.000
O  0.240  0.240  0.401
O  0.316  0.316  0.805
O  0.378  0.378  0.195
O  0.432  0.432  0.591
O  0.500  0.500  0.000
O  0.568  0.568  0.409
O  0.622  0.622  0.805
O  0.684  0.684  0.195
O  0.760  0.760  0.599
O  0.826  0.826  0.000
O  0.891  0.891  0.392

energy relative to the lowest polymorph listed for this composition: 0.0219 eV per atom
density: 3.8 g/cm3
total moment: 0.32 μB/atom
SG: C2/m
E_form: -2.398 eV per atom

Entry 8:
Li2V6O15 | PBE+U | optimized geometry

a = 8.094 Å, b = 8.094 Å, c = 10.401 Å
α = 112.34°, β = 112.34°, γ = 26.22°
Sites, in units of the cell vectors:
Li  0.008  0.008  0.319
Li  0.992  0.992  0.681
V  0.122  0.122  0.112
V  0.289  0.289  0.414
V  0.338  0.338  0.104
V  0.662  0.662  0.896
V  0.711  0.711  0.586
V  0.878  0.878  0.888
O  0.000  0.000  0.000
O  0.116  0.116  0.268
O  0.186  0.186  0.960
O  0.241  0.241  0.569
O  0.266  0.266  0.230
O  0.367  0.367  0.927
O  0.401  0.401  0.491
O  0.442  0.442  0.235
O  0.558  0.558  0.765
O  0.599  0.599  0.509
O  0.633  0.633  0.073
O  0.734  0.734  0.770
O  0.759  0.759  0.431
O  0.814  0.814  0.040
O  0.884  0.884  0.732

energy relative to the lowest polymorph listed for this composition: 0.0040 eV per atom
density: 3.4 g/cm3
total moment: 0.09 μB/atom
SG: C2/m
E_form: -2.366 eV per atom

Entry 9:
Li2V3O8 | PBE+U | optimized geometry

a = 8.953 Å, b = 8.953 Å, c = 5.279 Å
α = 90.00°, β = 90.00°, γ = 90.00°
Sites, in units of the cell vectors:
Li  0.242  0.258  0.000
Li  0.258  0.758  0.000
Li  0.742  0.242  0.000
Li  0.758  0.742  0.000
V  0.000  0.000  0.632
V  0.140  0.640  0.586
V  0.360  0.140  0.586
V  0.500  0.500  0.632
V  0.640  0.860  0.586
V  0.860  0.360  0.586
O  0.000  0.000  0.322
O  0.000  0.500  0.664
O  0.096  0.808  0.737
O  0.160  0.660  0.275
O  0.192  0.096  0.737
O  0.308  0.596  0.737
O  0.340  0.160  0.275
O  0.404  0.308  0.737
O  0.500  0.000  0.664
O  0.500  0.500  0.322
O  0.596  0.692  0.737
O  0.660  0.840  0.275
O  0.692  0.404  0.737
O  0.808  0.904  0.737
O  0.840  0.340  0.275
O  0.904  0.192  0.737

energy relative to the lowest polymorph listed for this composition: 0.0440 eV per atom
density: 2.3 g/cm3
total moment: 0.08 μB/atom
SG: P4bm
E_form: -2.358 eV per atom

Entry 10:
Li2VO3 | PBE+U | optimized geometry

a = 5.002 Å, b = 8.925 Å, c = 5.169 Å
α = 73.42°, β = 101.27°, γ = 96.35°
Sites, in units of the cell vectors:
Li  0.001  0.500  0.499
Li  0.501  0.000  0.999
Li  0.250  0.750  0.749
Li  0.750  0.250  0.249
Li  0.492  0.671  0.325
Li  0.992  0.171  0.825
Li  0.009  0.830  0.172
Li  0.509  0.330  0.672
V  0.749  0.589  0.909
V  0.252  0.411  0.090
V  0.249  0.089  0.409
V  0.752  0.911  0.590
O  0.102  0.611  0.118
O  0.602  0.111  0.618
O  0.398  0.889  0.381
O  0.898  0.389  0.881
O  0.642  0.789  0.939
O  0.142  0.289  0.439
O  0.858  0.711  0.560
O  0.358  0.212  0.060
O  0.398  0.536  0.739
O  0.898  0.036  0.239
O  0.102  0.965  0.760
O  0.602  0.465  0.260

density: 3.5 g/cm3
total moment: 0.00 μB/atom
E_form: -2.477 eV per atom

Entry 11:
LiV2O5 | PBE+U | optimized geometry

a = 9.891 Å, b = 3.642 Å, c = 11.119 Å
α = 90.00°, β = 90.00°, γ = 90.00°
Sites, in units of the cell vectors:
Li  0.177  0.250  0.222
Li  0.323  0.750  0.722
Li  0.677  0.250  0.278
Li  0.823  0.750  0.778
V  0.067  0.250  0.597
V  0.123  0.750  0.996
V  0.377  0.250  0.496
V  0.433  0.750  0.097
V  0.567  0.250  0.903
V  0.623  0.750  0.504
V  0.877  0.250  0.004
V  0.933  0.750  0.403
O  0.019  0.750  0.277
O  0.059  0.750  0.544
O  0.072  0.250  0.049
O  0.219  0.750  0.873
O  0.241  0.250  0.631
O  0.259  0.750  0.131
O  0.281  0.250  0.373
O  0.428  0.750  0.549
O  0.441  0.250  0.044
O  0.481  0.250  0.777
O  0.519  0.750  0.223
O  0.559  0.750  0.956
O  0.572  0.250  0.451
O  0.719  0.750  0.627
O  0.741  0.250  0.869
O  0.759  0.750  0.369
O  0.781  0.250  0.127
O  0.928  0.750  0.951
O  0.941  0.250  0.456
O  0.981  0.250  0.723

energy relative to the lowest polymorph listed for this composition: 0.0254 eV per atom
density: 3.1 g/cm3
total moment: 0.13 μB/atom
SG: Pnma
E_form: -2.429 eV per atom

Entry 12:
Li5V7O12 | PBE+U | optimized geometry

a = 5.135 Å, b = 5.205 Å, c = 9.945 Å
α = 84.67°, β = 79.00°, γ = 60.50°
Sites, in units of the cell vectors:
Li  0.000  0.000  0.000
Li  0.079  0.333  0.753
Li  0.321  0.331  0.995
Li  0.492  0.002  0.508
Li  0.834  0.333  0.510
V  0.165  0.658  0.504
V  0.248  0.997  0.254
V  0.411  0.669  0.753
V  0.587  0.317  0.253
V  0.668  0.658  0.003
V  0.742  0.008  0.754
V  0.925  0.642  0.254
O  0.016  0.686  0.875
O  0.124  0.978  0.634
O  0.197  0.333  0.383
O  0.294  0.656  0.130
O  0.390  0.979  0.874
O  0.452  0.351  0.633
O  0.542  0.656  0.377
O  0.644  0.964  0.129
O  0.688  0.352  0.874
O  0.789  0.687  0.632
O  0.884  0.965  0.378
O  0.962  0.332  0.125

density: 4.3 g/cm3
total moment: 0.67 μB/atom
SG: P1
E_form: -2.379 eV per atom

no.,total energy after the MP2020 corrections (eV for the cell shown),E (eV/cell)
1,-709.65,-629.0
2,-33.06,-30.0
3,-355.35,-317.1
4,-181.62,-161.1
5,-125.25,-113.0
6,-109.25,-100.4
7,-177.31,-158.2
8,-186.95,-166.4
9,-202.62,-181.4
10,-170.44,-155.4
11,-256.99,-229.6
12,-189.61,-169.5